*1*
Entry from the Materials Project: a relaxed UBr4O9 crystal (PBE-GGA).

Summary:
* crystal system: triclinic
* total moment: 2.8 μB per formula unit

a = 6.3853 Å, b = 7.1546 Å, c = 14.8538 Å
α = 77.77°, β = 80.02°, γ = 70.53°
Space group P-1 (No. 2)
Inequivalent atoms, fractional coordinates:
1 U 0.2188 0.1166 0.1744 (multiplicity 2)
2 Br 0.1107 0.6457 0.2763 (multiplicity 2)
3 Br 0.2528 0.7800 0.9440 (multiplicity 2)
4 Br 0.3345 0.1620 0.4368 (multiplicity 2)
5 Br 0.3427 0.3581 0.8182 (multiplicity 2)
6 O 0.0720 0.9033 0.2802 (multiplicity 2)
7 O 0.1443 0.6897 0.8619 (multiplicity 2)
8 O 0.1966 0.2652 0.2661 (multiplicity 2)
9 O 0.2221 0.9898 0.0776 (multiplicity 2)
10 O 0.2319 0.6563 0.5700 (multiplicity 2)
11 O 0.2525 0.6750 0.4848 (multiplicity 2)
12 O 0.3690 0.1469 0.5509 (multiplicity 2)
13 O 0.4592 0.2954 0.0815 (multiplicity 2)
14 O 0.4773 0.1109 0.7847 (multiplicity 2)


*2*
Entry from the Materials Project: a relaxed UBr4O9 crystal (PBE-GGA).

Summary:
* crystal system: triclinic
* total moment: 3.0 μB per formula unit

a = 6.4423 Å, b = 7.2375 Å, c = 13.9538 Å
α = 83.04°, β = 89.29°, γ = 69.41°
Space group P-1 (No. 2)
Inequivalent atoms, fractional coordinates:
1 U 0.1644 0.2910 0.3062 (multiplicity 2)
2 Br 0.1481 0.7994 0.9680 (multiplicity 2)
3 Br 0.2743 0.8227 0.4761 (multiplicity 2)
4 Br 0.2804 0.1689 0.6919 (multiplicity 2)
5 Br 0.4310 0.5443 0.7703 (multiplicity 2)
6 O 0.0379 0.4056 0.6623 (multiplicity 2)
7 O 0.0849 0.3667 0.1780 (multiplicity 2)
8 O 0.1157 0.9878 0.3787 (multiplicity 2)
9 O 0.1514 0.8948 0.0754 (multiplicity 2)
10 O 0.2083 0.7001 0.6894 (multiplicity 2)
11 O 0.2915 0.2288 0.9381 (multiplicity 2)
12 O 0.3057 0.2642 0.4224 (multiplicity 2)
13 O 0.3594 0.2466 0.0173 (multiplicity 2)
14 O 0.4570 0.0430 0.2694 (multiplicity 2)


Structures ranked by computed energy, the most stable listed first: *1*, *2*.


*1*
Entry from the Materials Project: a relaxed Re3Se2Br5 crystal (PBE-GGA).

Summary:
* crystal system: triclinic
* total moment: 0.0 μB per formula unit

a = 10.7453 Å, b = 10.7952 Å, c = 15.3689 Å
α = 86.07°, β = 86.49°, γ = 78.48°
Space group P1 (No. 1)
Inequivalent atoms, fractional coordinates:
1 Re 0.0000 0.0000 0.0000 (multiplicity 1)
2 Re 0.0140 0.6644 0.7144 (multiplicity 1)
3 Re 0.1910 0.8267 0.9906 (multiplicity 1)
4 Re 0.3216 0.2449 0.3517 (multiplicity 1)
5 Re 0.3817 0.4703 0.3675 (multiplicity 1)
6 Re 0.4593 0.2775 0.4804 (multiplicity 1)
7 Re 0.4850 0.3461 0.2394 (multiplicity 1)
8 Re 0.5656 0.1437 0.3469 (multiplicity 1)
9 Re 0.6172 0.3690 0.3627 (multiplicity 1)
10 Re 0.8181 0.8388 0.7300 (multiplicity 1)
11 Re 0.9619 0.8031 0.5995 (multiplicity 1)
12 Re 0.9757 0.7919 0.0733 (multiplicity 1)
13 Se 0.1154 0.9173 0.1311 (multiplicity 1)
14 Se 0.1496 0.6208 0.0155 (multiplicity 1)
15 Se 0.2274 0.3797 0.4756 (multiplicity 1)
16 Se 0.4076 0.0672 0.4582 (multiplicity 1)
17 Se 0.4971 0.5003 0.1152 (multiplicity 1)
18 Se 0.7131 0.2391 0.2377 (multiplicity 1)
19 Se 0.8009 0.9743 0.0758 (multiplicity 1)
20 Se 0.8273 0.0349 0.7670 (multiplicity 1)
21 Br 0.0884 0.9611 0.5854 (multiplicity 1)
22 Br 0.1268 0.1553 0.3310 (multiplicity 1)
23 Br 0.1715 0.0126 0.8734 (multiplicity 1)
24 Br 0.2111 0.6995 0.7635 (multiplicity 1)
25 Br 0.2357 0.4407 0.2452 (multiplicity 1)
26 Br 0.3017 0.7018 0.3508 (multiplicity 1)
27 Br 0.4150 0.8427 0.9972 (multiplicity 1)
28 Br 0.4363 0.1168 0.2131 (multiplicity 1)
29 Br 0.4454 0.2516 0.6445 (multiplicity 1)
30 Br 0.5135 0.5063 0.4940 (multiplicity 1)
31 Br 0.6116 0.8189 0.6859 (multiplicity 1)
32 Br 0.6137 0.4255 0.9878 (multiplicity 1)
33 Br 0.6903 0.9226 0.3279 (multiplicity 1)
34 Br 0.7040 0.1652 0.4775 (multiplicity 1)
35 Br 0.8003 0.4750 0.3537 (multiplicity 1)
36 Br 0.8275 0.6461 0.1044 (multiplicity 1)
37 Br 0.8347 0.6670 0.8509 (multiplicity 1)
38 Br 0.8693 0.7019 0.4952 (multiplicity 1)
39 Br 0.9458 0.2347 0.9903 (multiplicity 1)
40 Br 0.9819 0.4616 0.6750 (multiplicity 1)


*2*
Entry from the Materials Project: a relaxed Re3Se2Br5 crystal (PBE-GGA).

Summary:
* crystal system: triclinic
* total moment: 0.0 μB per formula unit

a = 9.8910 Å, b = 9.9022 Å, c = 13.1341 Å
α = 84.22°, β = 83.30°, γ = 82.80°
Space group P1 (No. 1)
Inequivalent atoms, fractional coordinates:
1 Re 0.0000 0.0000 0.0000 (multiplicity 1)
2 Re 0.0190 0.0271 0.7118 (multiplicity 1)
3 Re 0.1098 0.8406 0.8540 (multiplicity 1)
4 Re 0.1733 0.0939 0.8510 (multiplicity 1)
5 Re 0.3273 0.5400 0.4161 (multiplicity 1)
6 Re 0.4557 0.4418 0.2434 (multiplicity 1)
7 Re 0.4909 0.6900 0.2916 (multiplicity 1)
8 Re 0.5293 0.3360 0.4246 (multiplicity 1)
9 Re 0.5639 0.5812 0.4725 (multiplicity 1)
10 Re 0.6932 0.4840 0.3010 (multiplicity 1)
11 Re 0.8458 0.9334 0.8608 (multiplicity 1)
12 Re 0.9091 0.1865 0.8577 (multiplicity 1)
13 Se 0.0604 0.2390 0.9894 (multiplicity 1)
14 Se 0.2499 0.9148 0.9864 (multiplicity 1)
15 Se 0.3687 0.7720 0.4557 (multiplicity 1)
16 Se 0.4064 0.4384 0.5849 (multiplicity 1)
17 Se 0.6500 0.2544 0.2572 (multiplicity 1)
18 Se 0.7541 0.3831 0.4747 (multiplicity 1)
19 Se 0.7692 0.1125 0.7252 (multiplicity 1)
20 Se 0.9583 0.7883 0.7225 (multiplicity 1)
21 Br 0.0372 0.0478 0.5175 (multiplicity 1)
22 Br 0.0759 0.2828 0.7093 (multiplicity 1)
23 Br 0.0808 0.5771 0.4913 (multiplicity 1)
24 Br 0.2453 0.6075 0.8510 (multiplicity 1)
25 Br 0.2580 0.6513 0.2332 (multiplicity 1)
26 Br 0.2836 0.9307 0.7075 (multiplicity 1)
27 Br 0.2919 0.2944 0.3631 (multiplicity 1)
28 Br 0.3815 0.3468 0.0922 (multiplicity 1)
29 Br 0.3895 0.2047 0.8371 (multiplicity 1)
30 Br 0.4656 0.9291 0.2041 (multiplicity 1)
31 Br 0.5538 0.0945 0.5108 (multiplicity 1)
32 Br 0.6119 0.5889 0.1189 (multiplicity 1)
33 Br 0.6292 0.8227 0.8754 (multiplicity 1)
34 Br 0.6392 0.6797 0.6226 (multiplicity 1)
35 Br 0.7256 0.7345 0.3427 (multiplicity 1)
36 Br 0.7356 0.0962 0.0046 (multiplicity 1)
37 Br 0.7734 0.4196 0.8610 (multiplicity 1)
38 Br 0.9386 0.4480 0.2228 (multiplicity 1)
39 Br 0.9433 0.7442 0.0028 (multiplicity 1)
40 Br 0.9821 0.9798 0.1945 (multiplicity 1)


Structures ranked by computed energy, the most stable listed first: *2*, *1*.